1.
Pr5S2N3Cl2 | PBE | relaxed

## Properties
Formation energy from the elements: -1.916 eV/atom
Corrected total energy (MP2020 scheme): -6.989 eV per atom
Crystal system: monoclinic
Energy: -326.55 eV for the cell shown

Geometry as CIF:
```
data_Pr5S2N3Cl2
_chemical_formula_sum 'Pr20 S8 N12 Cl8'
_space_group_name_H-M_alt 'C 1 2/m 1'
_space_group_IT_number 12
_cell_length_a 15.9583
_cell_length_b 4.0816
_cell_length_c 17.0985
_cell_angle_alpha 90.00
_cell_angle_beta 101.94
_cell_angle_gamma 90.00
loop_
_space_group_symop_operation_xyz
'x,y,z'
'-x,-y,-z'
'-x,y,-z'
'x,-y,z'
'x+1/2,y+1/2,z'
'-x+1/2,-y+1/2,-z'
'-x+1/2,y+1/2,-z'
'x+1/2,-y+1/2,z'
loop_
_atom_site_label
_atom_site_type_symbol
_atom_site_fract_x
_atom_site_fract_y
_atom_site_fract_z
Pr1 Pr 0.0176 0.0000 0.1640
Pr2 Pr 0.0743 0.0000 0.5949
Pr3 Pr 0.1137 0.5000 0.0313
Pr4 Pr 0.1413 0.5000 0.4253
Pr5 Pr 0.2356 0.5000 0.7944
S1 S 0.0421 0.5000 0.7093
S2 S 0.2124 0.5000 0.5950
N1 N 0.0061 0.5000 0.9102
N2 N 0.0748 0.0000 0.4545
N3 N 0.1481 0.0000 0.1101
Cl1 Cl 0.1656 0.5000 0.2604
Cl2 Cl 0.1805 0.0000 0.8952
```

---

2.
PtN2Cl2 | PBE | relaxed

## Properties
Formation energy from the elements: 1.472 eV/atom
Corrected total energy (MP2020 scheme): -3.816 eV per atom
Crystal system: tetragonal
Energy: -35.70 eV for the cell shown
Excess energy over the best structure of this formula in the dataset: 858 meV/atom

Geometry as CIF:
```
data_PtN2Cl2
_chemical_formula_sum 'Pt2 N4 Cl4'
_space_group_name_H-M_alt 'P 4/m'
_space_group_IT_number 83
_cell_length_a 8.0818
_cell_length_b 8.0818
_cell_length_c 5.1554
_cell_angle_alpha 90.00
_cell_angle_beta 90.00
_cell_angle_gamma 90.00
loop_
_space_group_symop_operation_xyz
'x,y,z'
'-x,-y,-z'
'-y,x,z'
'y,-x,-z'
'-x,-y,z'
'x,y,-z'
'y,-x,z'
'-y,x,-z'
loop_
_atom_site_label
_atom_site_type_symbol
_atom_site_fract_x
_atom_site_fract_y
_atom_site_fract_z
Pt1 Pt 0.0000 0.0000 0.0000
Pt2 Pt 0.0000 0.0000 0.5000
N1 N 0.1684 0.3978 0.0000
Cl1 Cl 0.2102 0.7779 0.0000
```

---

3.
PtN2Cl2 | PBE | relaxed

## Properties
Formation energy from the elements: 1.212 eV/atom
Corrected total energy (MP2020 scheme): -4.077 eV per atom
Crystal system: tetragonal
Energy: -76.62 eV for the cell shown
Excess energy over the best structure of this formula in the dataset: 597 meV/atom

Geometry as CIF:
```
data_PtN2Cl2
_chemical_formula_sum 'Pt4 N8 Cl8'
_space_group_name_H-M_alt 'P 4/m n c'
_space_group_IT_number 128
_space_group_name_Hall '-P 4 2n'
_cell_length_a 9.1681
_cell_length_b 9.1681
_cell_length_c 5.1828
_cell_angle_alpha 90.00
_cell_angle_beta 90.00
_cell_angle_gamma 90.00
loop_
_atom_site_label
_atom_site_type_symbol
_atom_site_fract_x
_atom_site_fract_y
_atom_site_fract_z
Pt1 Pt 0.0000 0.0000 0.0000
Pt2 Pt 0.0000 0.0000 0.5000
N1 N 0.0060 0.2164 0.0000
Cl1 Cl 0.0123 0.2514 0.5000
```